# 1
{
  "formula": "LiPr2Ta2Cl2O7",
  "functional": "PBE",
  "state": "relaxed",
  "ef_mev_per_atom": -3079,
  "crystal_system": "monoclinic",
  "de_polymorph_mev_per_atom": 88,
  "vol_a3_per_atom": 16.05,
  "space_group": "Cm (8)",
  "m_tot_mub_per_cell": 0.000,
  "total_energy_ev_per_cell": -111.82,
  "energy_corrected_mp2020_ev_per_atom": -8.33,
  "lattice_angstrom": [[8.5078, -2.0213, 0.0000], [8.5078, 2.0213, 0.0000], [-1.9312, 0.0000, 6.5334]],
  "species": ["Li", "Pr", "Pr", "Ta", "Ta", "Cl", "Cl", "O", "O", "O", "O", "O", "O", "O"],
  "frac_coords": [[0.0000, 0.0000, 0.0000], [0.1498, 0.1498, 0.4247], [0.7725, 0.7725, 0.9568], [0.3888, 0.3888, 0.7901], [0.4660, 0.4660, 0.3085], [0.1379, 0.1379, 0.9737], [0.7629, 0.7629, 0.3569], [0.2624, 0.2624, 0.7207], [0.3553, 0.3553, 0.0985], [0.4265, 0.4265, 0.5444], [0.4899, 0.4899, 0.0094], [0.5879, 0.5879, 0.4460], [0.8872, 0.8872, 0.8048], [0.9827, 0.9827, 0.2946]]
}

# 2
{
  "formula": "Rb2LiPuCl4O2",
  "functional": "PBE",
  "state": "relaxed",
  "ef_mev_per_atom": -2247,
  "crystal_system": "triclinic",
  "de_polymorph_mev_per_atom": 5,
  "vol_a3_per_atom": 27.70,
  "space_group": "P1 (1)",
  "m_tot_mub_per_cell": 3.000,
  "total_energy_ev_per_cell": -56.52,
  "energy_corrected_mp2020_ev_per_atom": -5.79,
  "lattice_angstrom": [[6.4041, 0.0000, 0.0000], [0.4530, 6.8841, 0.0000], [1.8944, 2.3752, 6.2820]],
  "species": ["Rb", "Rb", "Li", "Pu", "Cl", "Cl", "Cl", "Cl", "O", "O"],
  "frac_coords": [[0.0000, 0.0000, 0.0000], [0.3753, 0.4150, 0.1378], [0.5750, 0.0048, 0.6574], [0.2057, 0.6982, 0.5666], [0.4311, 0.3295, 0.6571], [0.4769, 0.9158, 0.1698], [0.9128, 0.5109, 0.9517], [0.9486, 0.0462, 0.4945], [0.0672, 0.5998, 0.4245], [0.3520, 0.8029, 0.7074]]
}

# 3
{
  "formula": "Rb2LiPuCl4O2",
  "functional": "PBE",
  "state": "relaxed",
  "ef_mev_per_atom": -2238,
  "crystal_system": "monoclinic",
  "de_polymorph_mev_per_atom": 13,
  "vol_a3_per_atom": 27.32,
  "space_group": "Cm (8)",
  "m_tot_mub_per_cell": 3.000,
  "total_energy_ev_per_cell": -56.44,
  "energy_corrected_mp2020_ev_per_atom": -5.78,
  "lattice_angstrom": [[5.9876, -3.7928, 0.0000], [5.9876, 3.7928, 0.0000], [-1.1988, 0.0000, 6.0141]],
  "species": ["Rb", "Rb", "Li", "Pu", "Cl", "Cl", "Cl", "Cl", "O", "O"],
  "frac_coords": [[0.0000, 0.0000, 0.0000], [0.7107, 0.7107, 0.4000], [0.4877, 0.4877, 0.7388], [0.3405, 0.3405, 0.1815], [0.2222, 0.7011, 0.4901], [0.5049, 0.9670, 0.9267], [0.7011, 0.2222, 0.4901], [0.9670, 0.5049, 0.9267], [0.2229, 0.2229, 0.3275], [0.4615, 0.4615, 0.0334]]
}